[1]
Compound: KW3O9
Source: the Materials Project
Functional: r²SCAN
Structure: relaxed

space group = P6mm
calculated total energy = -244.29 eV for the cell shown

POSCAR file:
```
KW3O9
1.0
3.703 -6.414 0.000
3.703 6.414 0.000
0.000 0.000 3.820
K W O
1 3 9
direct
0.000 0.000 0.900 K
0.500 0.000 0.499 W
0.000 0.500 0.499 W
0.500 0.500 0.499 W
0.789 0.211 0.500 O
0.211 0.789 0.500 O
0.579 0.789 0.500 O
0.421 0.211 0.500 O
0.789 0.579 0.500 O
0.211 0.421 0.500 O
0.500 0.000 0.000 O
0.000 0.500 0.000 O
0.500 0.500 0.000 O
```



[2]
Compound: KW3O9
Source: the Materials Project
Functional: r²SCAN
Structure: relaxed

space group = P6_3mc
calculated total energy = -488.58 eV for the cell shown

POSCAR file:
```
KW3O9
1.0
6.407 3.699 -0.001
-6.407 3.699 -0.001
0.000 0.002 7.628
K W O
2 6 18
direct
0.000 0.000 0.733 K
0.000 0.000 0.233 K
0.000 0.500 0.500 W
0.000 0.500 0.000 W
0.500 0.500 0.500 W
0.500 0.500 0.000 W
0.500 0.000 0.000 W
0.500 0.000 0.500 W
0.986 0.492 0.250 O
0.789 0.210 0.991 O
0.789 0.210 0.509 O
0.789 0.579 0.509 O
0.507 0.014 0.250 O
0.789 0.579 0.992 O
0.420 0.210 0.992 O
0.421 0.210 0.509 O
0.507 0.493 0.250 O
0.493 0.507 0.750 O
0.579 0.789 0.009 O
0.579 0.789 0.492 O
0.210 0.420 0.492 O
0.492 0.986 0.750 O
0.210 0.421 0.009 O
0.210 0.789 0.009 O
0.210 0.789 0.491 O
0.014 0.507 0.750 O
```



[3]
Compound: K4WO5
Source: the Materials Project
Functional: r²SCAN
Structure: relaxed

space group = P-1
calculated total energy = -759.05 eV for the cell shown

POSCAR file:
```
K4WO5
1.0
-5.021 -2.092 3.113
6.356 -0.088 7.987
-4.484 16.155 2.122
K W O
24 6 30
direct
0.442 0.420 0.083 K
0.558 0.580 0.917 K
0.730 0.537 0.558 K
0.270 0.463 0.442 K
0.959 0.298 0.996 K
0.041 0.702 0.004 K
0.510 0.010 0.678 K
0.490 0.990 0.322 K
0.423 0.808 0.496 K
0.577 0.192 0.504 K
0.946 0.499 0.179 K
0.054 0.501 0.821 K
0.069 0.089 0.406 K
0.931 0.911 0.594 K
0.232 0.595 0.648 K
0.768 0.405 0.352 K
0.944 0.163 0.790 K
0.056 0.837 0.210 K
0.746 0.955 0.928 K
0.254 0.045 0.072 K
0.780 0.114 0.154 K
0.220 0.886 0.846 K
0.423 0.650 0.281 K
0.577 0.350 0.719 K
0.717 0.733 0.749 W
0.283 0.267 0.251 W
0.101 0.257 0.597 W
0.899 0.743 0.403 W
0.563 0.775 0.092 W
0.437 0.225 0.908 W
0.159 0.841 0.375 O
0.841 0.159 0.625 O
0.315 0.662 0.120 O
0.685 0.338 0.880 O
0.639 0.635 0.424 O
0.361 0.365 0.576 O
0.428 0.819 0.001 O
0.572 0.181 0.999 O
0.713 0.627 0.081 O
0.287 0.373 0.919 O
0.589 0.759 0.646 O
0.411 0.241 0.354 O
0.858 0.718 0.851 O
0.142 0.282 0.149 O
0.825 0.882 0.073 O
0.175 0.118 0.927 O
0.128 0.340 0.699 O
0.872 0.660 0.301 O
0.842 0.591 0.706 O
0.158 0.409 0.294 O
0.041 0.679 0.488 O
0.959 0.321 0.512 O
0.772 0.896 0.427 O
0.228 0.104 0.573 O
0.854 0.905 0.752 O
0.146 0.095 0.248 O
0.461 0.119 0.816 O
0.539 0.881 0.184 O
0.449 0.693 0.787 O
0.551 0.307 0.213 O
```